Record 1
Entry from the Materials Project database: NpSnAu2 after structural relaxation (PBE-GGA).

Structure (POSCAR):
```
NpSnAu2
1.0
0.000 3.558 3.558
3.558 0.000 3.558
3.558 3.558 0.000
Np Sn Au
1 1 2
direct
0.000 0.000 0.000 Np
0.500 0.500 0.500 Sn
0.250 0.250 0.250 Au
0.750 0.750 0.750 Au
```

Summary:
Calculated volume   22.52 Å³ per atom

Record 2
Entry from the Materials Project database: ThSiRh after structural relaxation (PBE-GGA).

Structure (POSCAR):
```
ThSiRh
1.0
-1.994 2.030 7.729
1.994 -2.030 7.729
1.994 2.030 -7.729
Th Si Rh
2 2 2
direct
0.372 0.122 0.250 Th
0.628 0.878 0.750 Th
0.040 0.290 0.750 Si
0.960 0.710 0.250 Si
0.192 0.442 0.750 Rh
0.808 0.558 0.250 Rh
```

Summary:
Magnetic moment   0.00 μB/cell
Calculated volume   20.86 Å³ per atom

Record 3
Entry from the Materials Project database: ScGeRh after structural relaxation (PBE-GGA).

Structure (POSCAR):
```
ScGeRh
1.0
6.735 0.000 0.000
-3.368 5.833 0.000
0.000 0.000 3.833
Sc Ge Rh
3 3 3
direct
0.000 0.418 0.000 Sc
0.418 0.000 0.000 Sc
0.582 0.582 0.000 Sc
0.000 0.000 0.000 Ge
0.333 0.667 0.500 Ge
0.667 0.333 0.500 Ge
0.000 0.754 0.500 Rh
0.246 0.246 0.500 Rh
0.754 0.000 0.500 Rh
```

Summary:
Calculated volume   16.73 Å³ per atom

Record 4
Entry from the Materials Project database: TmH3O3 after structural relaxation (PBE-GGA).

Structure (POSCAR):
```
TmH3O3
1.0
6.269 0.000 0.000
0.000 3.432 0.000
-2.930 0.000 5.616
Tm H O
2 6 6
direct
0.156 0.250 0.322 Tm
0.844 0.750 0.678 Tm
0.228 0.250 0.858 H
0.361 0.750 0.689 H
0.364 0.750 0.136 H
0.636 0.250 0.864 H
0.639 0.250 0.311 H
0.772 0.750 0.142 H
0.106 0.250 0.913 O
0.186 0.750 0.590 O
0.406 0.750 0.304 O
0.594 0.250 0.696 O
0.814 0.250 0.410 O
0.894 0.750 0.087 O
```

Summary:
Magnetic moment   0.00 μB/cell
ΔE to the lowest computed polymorph   0.005 eV per atom
E (MP2020)   -0.4752 Ry/atom
Calculated volume   8.63 Å³ per atom

Record 5
Entry from the Materials Project database: CaMg6Sn after structural relaxation (PBE-GGA).

Structure (POSCAR):
```
CaMg6Sn
1.0
5.169 0.000 0.000
0.000 6.717 0.000
0.000 0.000 11.445
Mg Sn Ca
12 2 2
direct
0.000 0.750 0.581 Mg
0.000 0.250 0.081 Mg
0.000 0.250 0.581 Mg
0.000 0.000 0.336 Mg
0.500 0.239 0.420 Mg
0.000 0.750 0.081 Mg
0.000 0.500 0.836 Mg
0.500 0.739 0.920 Mg
0.500 0.761 0.420 Mg
0.500 0.000 0.167 Mg
0.500 0.500 0.667 Mg
0.500 0.261 0.920 Mg
0.500 0.000 0.665 Sn
0.500 0.500 0.165 Sn
0.000 0.500 0.330 Ca
0.000 0.000 0.830 Ca
```

Summary:
Magnetic moment   0.01 μB/cell
ΔE to the lowest computed polymorph   0.010 eV per atom
Calculated volume   24.84 Å³ per atom

Record 6
Entry from the Materials Project database: K2ZnSn2Se6 after structural relaxation (PBE-GGA).

Structure (POSCAR):
```
K2ZnSn2Se6
1.0
8.399 0.000 0.000
0.000 8.399 0.000
0.000 0.000 19.909
K Zn Sn Se
8 4 8 24
direct
0.250 0.250 0.026 K
0.250 0.250 0.323 K
0.250 0.250 0.526 K
0.250 0.250 0.823 K
0.750 0.750 0.177 K
0.750 0.750 0.474 K
0.750 0.750 0.677 K
0.750 0.750 0.974 K
0.250 0.750 0.000 Zn
0.250 0.750 0.500 Zn
0.750 0.250 0.000 Zn
0.750 0.250 0.500 Zn
0.250 0.750 0.162 Sn
0.250 0.750 0.338 Sn
0.250 0.750 0.662 Sn
0.250 0.750 0.838 Sn
0.750 0.250 0.162 Sn
0.750 0.250 0.338 Sn
0.750 0.250 0.662 Sn
0.750 0.250 0.838 Sn
0.074 0.595 0.081 Se
0.074 0.905 0.581 Se
0.088 0.588 0.750 Se
0.088 0.912 0.250 Se
0.095 0.574 0.419 Se
0.095 0.926 0.919 Se
0.405 0.574 0.919 Se
0.405 0.926 0.419 Se
0.412 0.588 0.250 Se
0.412 0.912 0.750 Se
0.426 0.595 0.581 Se
0.426 0.905 0.081 Se
0.574 0.095 0.919 Se
0.574 0.405 0.419 Se
0.588 0.088 0.250 Se
0.588 0.412 0.750 Se
0.595 0.074 0.581 Se
0.595 0.426 0.081 Se
0.905 0.074 0.081 Se
0.905 0.426 0.581 Se
0.912 0.088 0.750 Se
0.912 0.412 0.250 Se
0.926 0.095 0.419 Se
0.926 0.405 0.919 Se
```

Summary:
Magnetic moment   0.01 μB/cell
E (MP2020)   -0.2893 Ry/atom
Calculated volume   31.92 Å³ per atom

Record 7
Entry from the Materials Project database: Mg3CuSn2S8 after structural relaxation (PBE-GGA).

Structure (POSCAR):
```
Mg3CuSn2S8
1.0
-3.714 3.801 5.255
3.714 -3.801 5.255
3.714 3.801 -5.255
Mg Cu Sn S
3 1 2 8
direct
0.000 0.000 0.000 Mg
0.391 0.140 0.750 Mg
0.391 0.641 0.250 Mg
0.779 0.279 0.500 Cu
0.391 0.640 0.751 Sn
0.889 0.640 0.249 Sn
0.147 0.408 0.261 S
0.147 0.886 0.739 S
0.149 0.880 0.269 S
0.155 0.397 0.759 S
0.610 0.880 0.731 S
0.638 0.390 0.751 S
0.638 0.397 0.241 S
0.638 0.887 0.249 S
```

Summary:
Magnetic moment   0.93 μB/cell
E (MP2020)   -0.3384 Ry/atom
Calculated volume   21.20 Å³ per atom

Record 8
Entry from the Materials Project database: Zr2TcRu after structural relaxation (PBE-GGA).

Structure (POSCAR):
```
Zr2TcRu
1.0
0.000 3.288 3.288
3.288 0.000 3.288
3.288 3.288 0.000
Zr Tc Ru
2 1 1
direct
0.250 0.250 0.250 Zr
0.750 0.750 0.750 Zr
0.000 0.000 0.000 Tc
0.500 0.500 0.500 Ru
```

Summary:
Calculated volume   17.77 Å³ per atom

Record 9
Entry from the Materials Project database: Rb16O3 after structural relaxation (PBE-GGA).

Structure (POSCAR):
```
Rb16O3
1.0
0.000 11.369 11.902
9.833 0.000 11.902
9.833 11.369 0.000
Rb O
32 6
direct
0.000 0.000 0.000 Rb
0.039 0.677 0.958 Rb
0.043 0.929 0.341 Rb
0.048 0.338 0.651 Rb
0.115 0.385 0.115 Rb
0.120 0.120 0.380 Rb
0.155 0.535 0.462 Rb
0.163 0.821 0.550 Rb
0.180 0.441 0.813 Rb
0.327 0.958 0.677 Rb
0.338 0.048 0.962 Rb
0.341 0.688 0.043 Rb
0.380 0.380 0.120 Rb
0.385 0.115 0.385 Rb
0.441 0.180 0.566 Rb
0.462 0.847 0.155 Rb
0.467 0.550 0.821 Rb
0.500 0.500 0.500 Rb
0.535 0.155 0.847 Rb
0.550 0.467 0.163 Rb
0.566 0.813 0.441 Rb
0.631 0.869 0.631 Rb
0.651 0.962 0.048 Rb
0.677 0.039 0.327 Rb
0.688 0.341 0.929 Rb
0.813 0.566 0.180 Rb
0.821 0.163 0.467 Rb
0.847 0.462 0.535 Rb
0.869 0.631 0.869 Rb
0.929 0.043 0.688 Rb
0.958 0.327 0.039 Rb
0.962 0.651 0.338 Rb
0.010 0.010 0.490 O
0.490 0.490 0.010 O
0.501 0.999 0.999 O
0.507 0.993 0.507 O
0.993 0.507 0.993 O
0.999 0.501 0.501 O
```

Summary:
Magnetic moment   0.60 μB/cell
E (MP2020)   -0.1547 Ry/atom
Calculated volume   70.03 Å³ per atom

Record 10
Entry from the Materials Project database: Ca5CdN4 after structural relaxation (PBE-GGA).

Structure (POSCAR):
```
Ca5CdN4
1.0
7.591 0.000 0.000
0.000 8.143 0.000
0.000 0.000 5.922
Ca Cd N
10 2 8
direct
0.003 0.051 0.247 Ca
0.003 0.449 0.247 Ca
0.250 0.250 0.712 Ca
0.497 0.051 0.247 Ca
0.497 0.449 0.247 Ca
0.503 0.551 0.753 Ca
0.503 0.949 0.753 Ca
0.750 0.750 0.288 Ca
0.997 0.551 0.753 Ca
0.997 0.949 0.753 Ca
0.250 0.750 0.285 Cd
0.750 0.250 0.715 Cd
0.001 0.250 0.945 N
0.250 0.004 0.500 N
0.250 0.496 0.500 N
0.499 0.250 0.945 N
0.501 0.750 0.055 N
0.750 0.504 0.500 N
0.750 0.996 0.500 N
0.999 0.750 0.055 N
```

Summary:
Magnetic moment   0.00 μB/cell
E (MP2020)   -0.3751 Ry/atom
Calculated volume   18.30 Å³ per atom

Record 11
Entry from the Materials Project database: YP5 after structural relaxation (PBE-GGA).

Structure (POSCAR):
```
YP5
1.0
4.959 0.000 0.000
0.000 9.438 0.000
-1.127 0.000 5.246
Y P
2 10
direct
0.003 0.250 0.346 Y
0.997 0.750 0.654 Y
0.277 0.250 0.892 P
0.286 0.528 0.405 P
0.286 0.972 0.405 P
0.384 0.593 0.045 P
0.384 0.907 0.045 P
0.616 0.093 0.955 P
0.616 0.407 0.955 P
0.714 0.028 0.595 P
0.714 0.472 0.595 P
0.723 0.750 0.108 P
```

Summary:
Calculated volume   20.46 Å³ per atom

Record 12
Entry from the Materials Project database: Li2CuSiO4 after structural relaxation (PBE-GGA).

Structure (POSCAR):
```
Li2CuSiO4
1.0
5.092 0.000 0.000
0.000 4.843 0.000
-0.029 0.000 6.915
Li Cu Si O
4 2 2 8
direct
0.175 0.000 0.237 Li
0.189 0.490 0.007 Li
0.811 0.990 0.993 Li
0.825 0.500 0.763 Li
0.247 0.513 0.497 Cu
0.753 0.013 0.503 Cu
0.304 0.986 0.760 Si
0.696 0.486 0.240 Si
0.179 0.102 0.957 O
0.183 0.114 0.551 O
0.237 0.650 0.752 O
0.374 0.553 0.243 O
0.626 0.053 0.757 O
0.763 0.150 0.248 O
0.817 0.614 0.449 O
0.821 0.602 0.043 O
```

Summary:
Magnetic moment   1.97 μB/cell
ΔE to the lowest computed polymorph   0.065 eV per atom
E (MP2020)   -0.4719 Ry/atom
Calculated volume   10.66 Å³ per atom

Record 13
Entry from the Materials Project database: Nb3TeI7 after structural relaxation (PBE-GGA).

Structure (POSCAR):
```
Nb3TeI7
1.0
7.734 0.000 0.000
-3.867 6.698 0.000
0.000 0.000 7.245
Nb Te I
3 1 7
direct
0.201 0.402 0.000 Nb
0.201 0.799 0.000 Nb
0.598 0.799 0.000 Nb
0.333 0.667 0.713 Te
0.000 0.000 0.203 I
0.335 0.167 0.787 I
0.501 0.002 0.256 I
0.501 0.499 0.256 I
0.833 0.167 0.787 I
0.833 0.665 0.787 I
0.998 0.499 0.256 I
```

Summary:
Maximum piezoelectric response   0.24 C/m²
ΔE to the lowest computed polymorph   0.002 eV per atom
E (MP2020)   -0.3523 Ry/atom
Calculated volume   34.12 Å³ per atom

Record 14
Entry from the Materials Project database: Mg16Al12Pt after structural relaxation (PBE-GGA).

Structure (POSCAR):
```
Mg16Al12Pt
1.0
5.226 -7.289 0.000
5.226 7.289 0.000
-5.054 0.000 7.499
Mg Al Pt
16 12 1
direct
0.000 0.000 0.000 Mg
0.004 0.323 0.607 Mg
0.009 0.359 0.003 Mg
0.012 0.608 0.330 Mg
0.015 0.015 0.358 Mg
0.303 0.682 0.697 Mg
0.323 0.004 0.607 Mg
0.339 0.588 0.992 Mg
0.359 0.009 0.003 Mg
0.413 0.719 0.410 Mg
0.588 0.339 0.992 Mg
0.608 0.012 0.330 Mg
0.620 0.620 0.676 Mg
0.682 0.303 0.697 Mg
0.699 0.699 0.304 Mg
0.719 0.413 0.410 Mg
0.007 0.820 0.645 Al
0.011 0.640 0.828 Al
0.189 0.189 0.816 Al
0.189 0.375 0.374 Al
0.203 0.825 0.193 Al
0.369 0.369 0.180 Al
0.375 0.189 0.374 Al
0.640 0.011 0.828 Al
0.657 0.840 0.027 Al
0.820 0.007 0.645 Al
0.825 0.203 0.193 Al
0.840 0.657 0.027 Al
0.327 0.327 0.649 Pt
```

Summary:
Magnetic moment   0.00 μB/cell
ΔE to the lowest computed polymorph   0.000 eV per atom
Calculated volume   19.70 Å³ per atom

Record 15
Entry from the Materials Project database: CsFeBr3 after structural relaxation (PBE-GGA).

Structure (POSCAR):
```
CsFeBr3
1.0
7.622 0.000 0.000
-3.811 6.601 0.000
0.000 0.000 6.144
Cs Fe Br
2 2 6
direct
0.333 0.667 0.250 Cs
0.667 0.333 0.750 Cs
0.000 0.000 0.000 Fe
0.000 0.000 0.500 Fe
0.146 0.293 0.750 Br
0.146 0.854 0.750 Br
0.293 0.146 0.250 Br
0.707 0.854 0.750 Br
0.854 0.146 0.250 Br
0.854 0.707 0.250 Br
```

Summary:
Magnetic moment   8.00 μB/cell
E (MP2020)   -0.3016 Ry/atom
Calculated volume   30.91 Å³ per atom

Record 16
Entry from the Materials Project database: La3Os after structural relaxation (PBE-GGA).

Structure (POSCAR):
```
La3Os
1.0
7.491 0.000 0.000
0.000 10.117 0.000
0.000 0.000 6.618
La Os
12 4
direct
0.045 0.250 0.152 La
0.170 0.070 0.674 La
0.170 0.430 0.674 La
0.330 0.570 0.174 La
0.330 0.930 0.174 La
0.455 0.750 0.652 La
0.545 0.250 0.348 La
0.670 0.070 0.826 La
0.670 0.430 0.826 La
0.830 0.570 0.326 La
0.830 0.930 0.326 La
0.955 0.750 0.848 La
0.119 0.750 0.447 Os
0.381 0.250 0.947 Os
0.619 0.750 0.053 Os
0.881 0.250 0.553 Os
```

Summary:
Magnetic moment   0.00 μB/cell
Calculated volume   31.35 Å³ per atom

Record 17
Entry from the Materials Project database: Re7B3 after structural relaxation (PBE-GGA).

Structure (POSCAR):
```
Re7B3
1.0
7.555 0.000 0.000
-3.777 6.543 0.000
0.000 0.000 4.932
Re B
14 6
direct
0.092 0.546 0.000 Re
0.123 0.245 0.701 Re
0.123 0.877 0.701 Re
0.245 0.123 0.201 Re
0.333 0.667 0.537 Re
0.454 0.546 0.000 Re
0.454 0.908 0.000 Re
0.546 0.092 0.500 Re
0.546 0.454 0.500 Re
0.667 0.333 0.037 Re
0.755 0.877 0.701 Re
0.877 0.123 0.201 Re
0.877 0.755 0.201 Re
0.908 0.454 0.500 Re
0.190 0.379 0.292 B
0.190 0.810 0.292 B
0.379 0.190 0.792 B
0.621 0.810 0.292 B
0.810 0.190 0.792 B
0.810 0.621 0.792 B
```

Summary:
Calculated volume   12.19 Å³ per atom

Taking the records one at a time from the top gives calculated total energy values of -6.131; -7.581; -7.097; -6.170; -2.025; -3.679; -4.317; -9.713; -1.997; -4.959; -6.128; -6.077; -4.552; -2.737; -3.783; -6.661; -10.937 eV per atom.
Taking the records one at a time from the top gives energy relative to the elements values of -0.255; -0.846; -0.990; -2.251; -0.073; -0.984; -1.032; -0.530; -0.498; -0.674; -0.539; -2.279; -0.782; -0.095; -1.248; -0.152; -0.222 eV/atom.